Entry 1:
Material: Na2SiSbCO7
Method: DFT, PBE
State: optimized geometry

Symmetry = P2_1/m
Raw total energy = -78.11 eV per formula unit
Spin magnetization = 0.005 μB per formula unit

Lattice parameters (Å, degrees): 5.3293 6.7630 9.3049 90.00 91.60 90.00
Last column: nearest neighbours and their distance in Å.
Atoms (fractional coordinates):
Na 0.2365 0.0077 0.2277  5 O 2.25-2.52
Na 0.2365 0.4923 0.2277  5 O 2.25-2.52
Na 0.7635 0.5077 0.7723  5 O 2.25-2.52
Na 0.7635 0.9923 0.7723  5 O 2.25-2.52
Si 0.2890 0.7500 0.5784  4 O 1.64-1.67
Si 0.7110 0.2500 0.4216  4 O 1.64-1.67
Sb 0.2181 0.2500 0.6418  5 O 2.08-2.21
Sb 0.7819 0.7500 0.3582  5 O 2.08-2.21
C 0.2734 0.2500 0.9307  3 O 1.25-1.33
C 0.7266 0.7500 0.0693  3 O 1.25-1.33
O 0.0561 0.2500 0.8561  1 C 1.33
O 0.1628 0.7500 0.4126  1 Si 1.67
O 0.1922 0.5572 0.6693  1 Si 1.64
O 0.1922 0.9428 0.6693  1 Si 1.64
O 0.2863 0.2500 0.0647  1 C 1.25
O 0.4012 0.2500 0.4312  1 Si 1.66
O 0.4732 0.2500 0.8491  1 C 1.32
O 0.5268 0.7500 0.1509  1 C 1.32
O 0.5988 0.7500 0.5688  1 Si 1.66
O 0.7137 0.7500 0.9353  1 C 1.25
O 0.8078 0.0572 0.3307  1 Si 1.64
O 0.8078 0.4428 0.3307  1 Si 1.64
O 0.8372 0.2500 0.5874  1 Si 1.67
O 0.9439 0.7500 0.1439  1 C 1.33


Entry 2:
Material: Na2SiSnCO7
Method: DFT, PBE
State: optimized geometry

Symmetry = P2_1/m
Raw total energy = -79.57 eV per formula unit
Spin magnetization = 0.000 μB per formula unit

Lattice parameters (Å, degrees): 5.3511 6.7050 9.1968 90.00 91.26 90.00
Last column: nearest neighbours and their distance in Å.
Atoms (fractional coordinates):
Na 0.2407 0.0073 0.2758  5 O 2.28-2.54
Na 0.2407 0.4927 0.2758  5 O 2.28-2.54
Na 0.7593 0.5073 0.7242  5 O 2.28-2.54
Na 0.7593 0.9927 0.7242  5 O 2.28-2.54
Si 0.2858 0.7500 0.9258  4 O 1.64-1.67
Si 0.7142 0.2500 0.0742  4 O 1.64-1.67
Sn 0.2086 0.2500 0.8607  6 O 2.04-2.22
Sn 0.7914 0.7500 0.1393  6 O 2.04-2.22
C 0.2737 0.2500 0.5782  3 O 1.25-1.34
C 0.7263 0.7500 0.4218  3 O 1.25-1.34
O 0.0505 0.2500 0.6352  1 C 1.31
O 0.1633 0.7500 0.0889  1 Si 1.65
O 0.1965 0.5537 0.8328  1 Si 1.64
O 0.1965 0.9463 0.8328  1 Si 1.64
O 0.3141 0.2500 0.4446  1 C 1.25
O 0.4038 0.2500 0.0537  1 Si 1.67
O 0.4604 0.2500 0.6781  1 C 1.34
O 0.5396 0.7500 0.3219  1 C 1.34
O 0.5962 0.7500 0.9463  1 Si 1.67
O 0.6859 0.7500 0.5554  1 C 1.25
O 0.8035 0.0537 0.1672  1 Si 1.64
O 0.8035 0.4463 0.1672  1 Si 1.64
O 0.8367 0.2500 0.9111  1 Si 1.65
O 0.9495 0.7500 0.3648  1 C 1.31


Entry 3:
Material: Na2SnC4O8
Method: DFT, PBE
State: optimized geometry

Symmetry = C2/c
Raw total energy = -103.77 eV per formula unit
Spin magnetization = 0.004 μB per formula unit

Lattice parameters (Å, degrees): 6.0035 6.0035 13.8895 106.06 106.06 57.38
Last column: nearest neighbours and their distance in Å.
Atoms (fractional coordinates):
Na 0.1751 0.2010 0.0512  6 O 2.41-2.61
Na 0.2010 0.1751 0.5512  6 O 2.41-2.61
Na 0.7990 0.8249 0.4488  6 O 2.41-2.61
Na 0.8249 0.7990 0.9488  6 O 2.41-2.61
Sn 0.1758 0.8242 0.2500  4 O 2.29-2.40
Sn 0.8242 0.1758 0.7500  4 O 2.29-2.40
C 0.3309 0.3603 0.3658  2 O 1.26-1.28
C 0.3603 0.3309 0.8658  2 O 1.26-1.28
C 0.3945 0.5820 0.8896  2 O 1.25-1.29
C 0.4180 0.6055 0.6104  2 O 1.25-1.29
C 0.5820 0.3945 0.3896  2 O 1.25-1.29
C 0.6055 0.4180 0.1104  2 O 1.25-1.29
C 0.6397 0.6691 0.1342  2 O 1.26-1.28
C 0.6691 0.6397 0.6342  2 O 1.26-1.28
O 0.1212 0.5274 0.3148  1 C 1.28
O 0.1788 0.3498 0.9017  1 C 1.26
O 0.2095 0.7640 0.5596  1 C 1.25
O 0.2360 0.7905 0.9404  1 C 1.25
O 0.3498 0.1788 0.4017  1 C 1.26
O 0.4072 0.4461 0.1413  1 C 1.29
O 0.4461 0.4072 0.6413  1 C 1.29
O 0.4726 0.8788 0.1852  1 C 1.28
O 0.5274 0.1212 0.8148  1 C 1.28
O 0.5539 0.5928 0.3587  1 C 1.29
O 0.5928 0.5539 0.8587  1 C 1.29
O 0.6502 0.8212 0.5983  1 C 1.26
O 0.7640 0.2095 0.0596  1 C 1.25
O 0.7905 0.2360 0.4404  1 C 1.25
O 0.8212 0.6502 0.0983  1 C 1.26
O 0.8788 0.4726 0.6852  1 C 1.28